Record 1
! Ba2La4Ti5O18 (PBE, relaxed); values from VASP
&SYSTEM
  ibrav = 0, nat = 29, ntyp = 4
/
ATOMIC_SPECIES
Ba 137.33 Ba.upf
La 138.91 La.upf
Ti 47.87 Ti.upf
O 16.00 O.upf
ATOMIC_POSITIONS crystal
Ba 0.000 0.000 0.000
Ba 0.448 0.448 0.448
La 0.177 0.177 0.177
La 0.273 0.273 0.273
La 0.549 0.549 0.549
La 0.726 0.726 0.726
Ti 0.087 0.087 0.087
Ti 0.362 0.362 0.362
Ti 0.638 0.638 0.638
Ti 0.814 0.814 0.814
Ti 0.912 0.912 0.912
O 0.065 0.065 0.545
O 0.065 0.545 0.065
O 0.169 0.668 0.668
O 0.223 0.223 0.722
O 0.223 0.722 0.223
O 0.283 0.774 0.774
O 0.448 0.942 0.942
O 0.502 0.502 0.998
O 0.502 0.998 0.502
O 0.545 0.065 0.065
O 0.668 0.169 0.668
O 0.668 0.668 0.169
O 0.722 0.223 0.223
O 0.774 0.283 0.774
O 0.774 0.774 0.283
O 0.942 0.448 0.942
O 0.942 0.942 0.448
O 0.998 0.502 0.502
CELL_PARAMETERS angstrom
2.810 1.623 13.563
-2.810 1.623 13.563
0.000 -3.245 13.563
! Electronic total energy = -0.620 Ry/atom

Record 2
! Ce8Gd2O19 (PBE, relaxed); values from VASP
&SYSTEM
  ibrav = 0, nat = 29, ntyp = 3
/
ATOMIC_SPECIES
Ce 140.12 Ce.upf
Gd 157.25 Gd.upf
O 16.00 O.upf
ATOMIC_POSITIONS crystal
Ce 0.000 0.500 0.050
Ce 0.000 0.500 0.250
Ce 0.000 0.500 0.650
Ce 0.000 0.500 0.850
Ce 0.500 0.000 0.150
Ce 0.500 0.000 0.350
Ce 0.500 0.000 0.750
Ce 0.500 0.000 0.950
Gd 0.000 0.500 0.444
Gd 0.500 0.000 0.556
O 0.000 0.000 0.000
O 0.000 0.000 0.100
O 0.000 0.000 0.200
O 0.000 0.000 0.301
O 0.000 0.000 0.405
O 0.000 0.000 0.595
O 0.000 0.000 0.699
O 0.000 0.000 0.800
O 0.000 0.000 0.900
O 0.500 0.500 0.000
O 0.500 0.500 0.100
O 0.500 0.500 0.200
O 0.500 0.500 0.298
O 0.500 0.500 0.396
O 0.500 0.500 0.500
O 0.500 0.500 0.604
O 0.500 0.500 0.702
O 0.500 0.500 0.800
O 0.500 0.500 0.900
CELL_PARAMETERS angstrom
3.861 0.000 0.000
0.000 3.861 0.000
0.000 0.000 27.341
! Electronic total energy = -0.683 Ry/atom

Record 3
! Na3GaP2O8 (PBE, relaxed); values from VASP
&SYSTEM
  ibrav = 0, nat = 56, ntyp = 4
/
ATOMIC_SPECIES
Na 22.99 Na.upf
Ga 69.72 Ga.upf
P 30.97 P.upf
O 16.00 O.upf
ATOMIC_POSITIONS crystal
Na 0.050 0.082 0.317
Na 0.073 0.664 0.392
Na 0.101 0.201 0.912
Na 0.308 0.408 0.569
Na 0.345 0.750 0.629
Na 0.351 0.261 0.177
Na 0.649 0.739 0.823
Na 0.655 0.250 0.371
Na 0.692 0.592 0.431
Na 0.899 0.799 0.088
Na 0.927 0.336 0.608
Na 0.950 0.918 0.683
Ga 0.252 0.580 0.011
Ga 0.479 0.082 0.746
Ga 0.521 0.918 0.254
Ga 0.748 0.420 0.989
P 0.031 0.591 0.789
P 0.278 0.091 0.516
P 0.285 0.914 0.046
P 0.466 0.574 0.234
P 0.534 0.426 0.766
P 0.715 0.086 0.954
P 0.722 0.909 0.484
P 0.969 0.409 0.211
O 0.038 0.565 0.143
O 0.095 0.574 0.617
O 0.096 0.285 0.153
O 0.111 0.895 0.134
O 0.172 0.207 0.470
O 0.176 0.622 0.841
O 0.209 0.937 0.545
O 0.302 0.026 0.913
O 0.313 0.156 0.657
O 0.316 0.533 0.194
O 0.366 0.761 0.977
O 0.368 0.981 0.151
O 0.386 0.415 0.911
O 0.431 0.730 0.311
O 0.446 0.083 0.385
O 0.493 0.458 0.344
O 0.507 0.542 0.656
O 0.554 0.917 0.615
O 0.569 0.270 0.689
O 0.614 0.585 0.089
O 0.632 0.019 0.849
O 0.634 0.239 0.023
O 0.684 0.467 0.806
O 0.687 0.844 0.343
O 0.698 0.974 0.087
O 0.791 0.063 0.455
O 0.824 0.378 0.159
O 0.828 0.793 0.530
O 0.889 0.105 0.866
O 0.904 0.715 0.847
O 0.905 0.426 0.383
O 0.962 0.435 0.857
CELL_PARAMETERS angstrom
8.981 0.000 0.000
0.353 9.002 0.000
3.060 0.004 8.862
! Electronic total energy = -0.463 Ry/atom

Record 4
! Ta5Ge3B (PBE, relaxed); values from VASP
&SYSTEM
  ibrav = 0, nat = 18, ntyp = 3
/
ATOMIC_SPECIES
Ta 180.95 Ta.upf
Ge 72.64 Ge.upf
B 10.81 B.upf
ATOMIC_POSITIONS crystal
Ta 0.000 0.244 0.250
Ta 0.000 0.756 0.750
Ta 0.244 0.000 0.250
Ta 0.244 0.244 0.750
Ta 0.333 0.667 0.000
Ta 0.333 0.667 0.500
Ta 0.667 0.333 0.000
Ta 0.667 0.333 0.500
Ta 0.756 0.000 0.750
Ta 0.756 0.756 0.250
Ge 0.000 0.400 0.750
Ge 0.000 0.600 0.250
Ge 0.400 0.000 0.750
Ge 0.400 0.400 0.250
Ge 0.600 0.000 0.250
Ge 0.600 0.600 0.750
B 0.000 0.000 0.000
B 0.000 0.000 0.500
CELL_PARAMETERS angstrom
7.744 0.000 0.000
-3.872 6.707 0.000
0.000 0.000 5.371
! Electronic total energy = -0.685 Ry/atom

Record 5
! WCl3 (PBE, relaxed); values from VASP
&SYSTEM
  ibrav = 0, nat = 24, ntyp = 2
/
ATOMIC_SPECIES
W 183.84 W.upf
Cl 35.45 Cl.upf
ATOMIC_POSITIONS crystal
W 0.024 0.231 0.147
W 0.147 0.024 0.231
W 0.231 0.147 0.024
W 0.769 0.853 0.976
W 0.853 0.976 0.769
W 0.976 0.769 0.853
Cl 0.041 0.498 0.311
Cl 0.097 0.147 0.763
Cl 0.147 0.763 0.097
Cl 0.195 0.293 0.437
Cl 0.237 0.903 0.853
Cl 0.293 0.437 0.195
Cl 0.311 0.041 0.498
Cl 0.437 0.195 0.293
Cl 0.498 0.311 0.041
Cl 0.502 0.689 0.959
Cl 0.563 0.805 0.707
Cl 0.689 0.959 0.502
Cl 0.707 0.563 0.805
Cl 0.763 0.097 0.147
Cl 0.805 0.707 0.563
Cl 0.853 0.237 0.903
Cl 0.903 0.853 0.237
Cl 0.959 0.502 0.689
CELL_PARAMETERS angstrom
7.918 4.572 3.042
-7.918 4.572 3.042
0.000 -9.143 3.042
! Electronic total energy = -0.397 Ry/atom

Record 6
! CaTiNbInO6 (PBE, relaxed); values from VASP
&SYSTEM
  ibrav = 0, nat = 10, ntyp = 5
/
ATOMIC_SPECIES
Ca 40.08 Ca.upf
Ti 47.87 Ti.upf
Nb 92.91 Nb.upf
In 114.82 In.upf
O 16.00 O.upf
ATOMIC_POSITIONS crystal
Ca 0.000 0.000 0.000
Ti 0.750 0.750 0.750
Nb 0.250 0.250 0.250
In 0.500 0.500 0.500
O 0.502 0.502 0.998
O 0.502 0.998 0.502
O 0.502 0.998 0.998
O 0.998 0.502 0.502
O 0.998 0.502 0.998
O 0.998 0.998 0.502
CELL_PARAMETERS angstrom
0.000 4.003 4.003
4.003 0.000 4.003
4.003 4.003 0.000
! Electronic total energy = -0.566 Ry/atom

Record 7
! Rb3NaMgRu2O8 (PBE, relaxed); values from VASP
&SYSTEM
  ibrav = 0, nat = 15, ntyp = 5
/
ATOMIC_SPECIES
Rb 85.47 Rb.upf
Na 22.99 Na.upf
Mg 24.30 Mg.upf
Ru 101.07 Ru.upf
O 16.00 O.upf
ATOMIC_POSITIONS crystal
Rb 0.000 0.000 0.000
Rb 0.333 0.667 0.546
Rb 0.667 0.333 0.244
Na 0.333 0.667 0.191
Mg 0.333 0.667 0.904
Ru 0.000 0.000 0.399
Ru 0.667 0.333 0.856
O 0.000 0.000 0.585
O 0.158 0.316 0.320
O 0.158 0.842 0.320
O 0.506 0.012 0.958
O 0.506 0.494 0.958
O 0.667 0.333 0.673
O 0.684 0.842 0.320
O 0.988 0.494 0.958
CELL_PARAMETERS angstrom
6.101 0.000 0.000
-3.050 5.283 0.000
0.000 0.000 9.506
! E above lowest polymorph = 0.097 eV/atom

Record 8
! NdDyC4 (PBE, relaxed); values from VASP
&SYSTEM
  ibrav = 0, nat = 6, ntyp = 3
/
ATOMIC_SPECIES
Nd 144.24 Nd.upf
Dy 162.50 Dy.upf
C 12.01 C.upf
ATOMIC_POSITIONS crystal
Nd 0.000 0.000 0.000
Dy 0.500 0.500 0.500
C 0.195 0.195 0.788
C 0.299 0.299 0.687
C 0.701 0.701 0.313
C 0.805 0.805 0.212
CELL_PARAMETERS angstrom
3.695 -1.872 0.000
3.695 1.872 0.000
-3.490 0.000 6.474
! Electronic total energy = -0.578 Ry/atom

Record 9
! Zr6FeCl15 (PBE, relaxed); values from VASP
&SYSTEM
  ibrav = 0, nat = 22, ntyp = 3
/
ATOMIC_SPECIES
Zr 91.22 Zr.upf
Fe 55.84 Fe.upf
Cl 35.45 Cl.upf
ATOMIC_POSITIONS crystal
Zr 0.000 0.239 0.239
Zr 0.000 0.761 0.761
Zr 0.239 0.000 0.239
Zr 0.239 0.239 0.000
Zr 0.761 0.000 0.761
Zr 0.761 0.761 0.000
Fe 0.000 0.000 0.000
Cl 0.000 0.247 0.753
Cl 0.000 0.500 0.500
Cl 0.000 0.753 0.247
Cl 0.247 0.000 0.753
Cl 0.247 0.247 0.494
Cl 0.247 0.494 0.247
Cl 0.247 0.753 0.000
Cl 0.494 0.247 0.247
Cl 0.500 0.000 0.500
Cl 0.500 0.500 0.000
Cl 0.506 0.753 0.753
Cl 0.753 0.000 0.247
Cl 0.753 0.247 0.000
Cl 0.753 0.506 0.753
Cl 0.753 0.753 0.506
CELL_PARAMETERS angstrom
-5.186 5.186 5.186
5.186 -5.186 5.186
5.186 5.186 -5.186
! Electronic total energy = -0.413 Ry/atom

Record 10
! Sb3Se2ClO8 (PBE, relaxed); values from VASP
&SYSTEM
  ibrav = 0, nat = 28, ntyp = 4
/
ATOMIC_SPECIES
Sb 121.76 Sb.upf
Se 78.96 Se.upf
Cl 35.45 Cl.upf
O 16.00 O.upf
ATOMIC_POSITIONS crystal
Sb 0.000 0.000 0.000
Sb 0.000 0.500 0.000
Sb 0.250 0.250 0.233
Sb 0.500 0.000 0.000
Sb 0.500 0.500 0.000
Sb 0.750 0.750 0.767
Se 0.250 0.558 0.382
Se 0.250 0.942 0.382
Se 0.750 0.058 0.618
Se 0.750 0.442 0.618
Cl 0.250 0.750 0.875
Cl 0.750 0.250 0.125
O 0.059 0.577 0.251
O 0.059 0.923 0.251
O 0.250 0.103 0.422
O 0.250 0.109 0.034
O 0.250 0.391 0.034
O 0.250 0.397 0.422
O 0.441 0.577 0.251
O 0.441 0.923 0.251
O 0.559 0.077 0.749
O 0.559 0.423 0.749
O 0.750 0.603 0.578
O 0.750 0.609 0.966
O 0.750 0.891 0.966
O 0.750 0.897 0.578
O 0.941 0.077 0.749
O 0.941 0.423 0.749
CELL_PARAMETERS angstrom
7.252 0.000 0.000
0.000 10.649 0.000
0.000 0.000 7.944
! Electronic total energy = -0.377 Ry/atom

Record 11
! Sr2LiNb3O10 (PBE, relaxed); values from VASP
&SYSTEM
  ibrav = 0, nat = 16, ntyp = 4
/
ATOMIC_SPECIES
Sr 87.62 Sr.upf
Li 6.94 Li.upf
Nb 92.91 Nb.upf
O 16.00 O.upf
ATOMIC_POSITIONS crystal
Sr 0.084 0.084 0.167
Sr 0.916 0.916 0.833
Li 0.753 0.247 0.500
Nb 0.341 0.336 0.677
Nb 0.509 0.491 0.000
Nb 0.664 0.659 0.323
O 0.019 0.453 0.000
O 0.149 0.643 0.292
O 0.275 0.270 0.545
O 0.357 0.851 0.708
O 0.432 0.422 0.854
O 0.547 0.981 0.000
O 0.578 0.568 0.146
O 0.651 0.145 0.296
O 0.730 0.725 0.455
O 0.855 0.349 0.704
CELL_PARAMETERS angstrom
2.827 -2.821 0.000
2.827 2.821 0.000
-2.827 0.000 13.669
! Electronic total energy = -0.590 Ry/atom

Record 12
! MoWSeS3 (PBE, relaxed); values from VASP
&SYSTEM
  ibrav = 0, nat = 12, ntyp = 4
/
ATOMIC_SPECIES
Mo 95.94 Mo.upf
W 183.84 W.upf
Se 78.96 Se.upf
S 32.06 S.upf
ATOMIC_POSITIONS crystal
Mo 0.000 0.000 0.000
Mo 0.333 0.667 0.188
W 0.000 0.000 0.376
W 0.333 0.667 0.564
Se 0.333 0.667 0.047
Se 0.333 0.667 0.953
S 0.000 0.000 0.145
S 0.000 0.000 0.231
S 0.000 0.000 0.521
S 0.000 0.000 0.607
S 0.333 0.667 0.333
S 0.333 0.667 0.419
CELL_PARAMETERS angstrom
3.220 0.000 0.000
-1.610 2.789 0.000
0.000 0.000 36.371
! E above lowest polymorph = 0.000 eV/atom